[1]
VASP calculation (GGA-PBE) on an optimized crystal structure of SrLa8Se12.

Geometry as POSCAR:
```
SrLa8Se12
1.0
6.4508 -6.4534 0.0000
6.4508 6.4534 0.0000
-6.4492 0.0000 13.7002
Sr La Se
2 16 24
Direct
0.1876 0.8124 0.5000 Sr
0.8124 0.1876 0.0000 Sr
0.0205 0.8953 0.1668 La
0.1454 0.5223 0.6665 La
0.1449 0.8964 0.9165 La
0.2277 0.4798 0.0834 La
0.2290 0.3554 0.3331 La
0.3554 0.2290 0.8331 La
0.4798 0.2277 0.5834 La
0.4796 0.8544 0.3337 La
0.5223 0.1454 0.1665 La
0.5626 0.8129 0.7499 La
0.5643 0.6874 0.0000 La
0.6874 0.5643 0.5000 La
0.8129 0.5626 0.2499 La
0.8544 0.4796 0.8337 La
0.8953 0.0205 0.6668 La
0.8964 0.1449 0.4165 La
0.0577 0.2044 0.8822 Se
0.1540 0.6527 0.2804 Se
0.1707 0.1755 0.6185 Se
0.1755 0.1707 0.1185 Se
0.2044 0.0577 0.3822 Se
0.2047 0.5550 0.8834 Se
0.2216 0.8718 0.7194 Se
0.3210 0.8198 0.1163 Se
0.3904 0.5343 0.5509 Se
0.4840 0.9858 0.9501 Se
0.5040 0.5049 0.7840 Se
0.5049 0.5040 0.2840 Se
0.5343 0.3904 0.0509 Se
0.5414 0.8883 0.5503 Se
0.5550 0.2047 0.3834 Se
0.6527 0.1540 0.7804 Se
0.7202 0.8714 0.2168 Se
0.8198 0.3210 0.6163 Se
0.8335 0.8374 0.4490 Se
0.8374 0.8335 0.9490 Se
0.8714 0.7202 0.7168 Se
0.8718 0.2216 0.2194 Se
0.8883 0.5414 0.0503 Se
0.9858 0.4840 0.4501 Se
```

[2]
VASP calculation (GGA-PBE) on an optimized crystal structure of Na2TiZnSiS2O12.

Geometry as POSCAR:
```
Na2TiZnSiS2O12
1.0
7.7303 -4.4176 0.0000
7.7303 4.4176 0.0000
-0.0319 0.0000 22.1665
Na Ti Zn Si S O
12 6 6 6 12 72
Direct
0.0015 0.9985 0.5000 Na
0.0395 0.6720 0.4167 Na
0.3287 0.3522 0.8339 Na
0.3361 0.9774 0.0849 Na
0.3522 0.3287 0.3339 Na
0.6511 0.9938 0.2509 Na
0.6584 0.6738 0.6667 Na
0.6720 0.0395 0.9167 Na
0.6738 0.6584 0.1667 Na
0.9774 0.3361 0.5849 Na
0.9938 0.6511 0.7509 Na
0.9985 0.0015 0.0000 Na
0.0129 0.0144 0.3470 Ti
0.0144 0.0129 0.8470 Ti
0.3267 0.3433 0.6796 Ti
0.3433 0.3267 0.1796 Ti
0.6872 0.6914 0.5129 Ti
0.6914 0.6872 0.0129 Ti
0.0024 0.0033 0.1437 Zn
0.0033 0.0024 0.6437 Zn
0.3402 0.3535 0.9776 Zn
0.3535 0.3402 0.4776 Zn
0.6484 0.7022 0.3108 Zn
0.7022 0.6484 0.8108 Zn
0.0057 0.2969 0.7375 Si
0.0534 0.6411 0.5726 Si
0.2969 0.0057 0.2375 Si
0.6411 0.0534 0.0726 Si
0.6724 0.9846 0.4063 Si
0.9846 0.6724 0.9063 Si
0.0185 0.7077 0.2450 S
0.0462 0.3493 0.0758 S
0.3028 0.7143 0.7441 S
0.3493 0.0462 0.5758 S
0.3499 0.6296 0.0769 S
0.3831 0.6812 0.4092 S
0.3843 0.9574 0.9089 S
0.6296 0.3499 0.5769 S
0.6812 0.3831 0.9092 S
0.7077 0.0185 0.7450 S
0.7143 0.3028 0.2441 S
0.9574 0.3843 0.4089 S
0.0195 0.8325 0.5833 O
0.0238 0.1981 0.0816 O
0.0286 0.1686 0.7970 O
0.0350 0.7954 0.3013 O
0.1295 0.3748 0.1314 O
0.1326 0.3619 0.4129 O
0.1518 0.3247 0.0224 O
0.1517 0.5033 0.6322 O
0.1525 0.5490 0.5115 O
0.1686 0.0286 0.2970 O
0.1725 0.5063 0.9171 O
0.1827 0.8005 0.7979 O
0.1867 0.5396 0.2392 O
0.1907 0.3127 0.7351 O
0.1981 0.0238 0.5816 O
0.2003 0.8107 0.0808 O
0.2050 0.8490 0.4060 O
0.2076 0.9736 0.9056 O
0.2088 0.9945 0.1766 O
0.2263 0.8121 0.6888 O
0.3116 0.5390 0.7407 O
0.3127 0.1907 0.2351 O
0.3247 0.1518 0.5224 O
0.3279 0.5556 0.0214 O
0.3453 0.5383 0.4135 O
0.3619 0.1326 0.9129 O
0.3620 0.5241 0.1312 O
0.3748 0.1295 0.6314 O
0.4642 0.8560 0.9665 O
0.4713 0.6980 0.4635 O
0.4751 0.6910 0.7538 O
0.4807 0.6549 0.3538 O
0.4920 0.8670 0.8567 O
0.4968 0.8484 0.2427 O
0.5033 0.1517 0.1322 O
0.5063 0.1725 0.4171 O
0.5120 0.8692 0.5720 O
0.5138 0.6405 0.0751 O
0.5241 0.3620 0.6312 O
0.5383 0.3453 0.9135 O
0.5390 0.3116 0.2407 O
0.5396 0.1867 0.7392 O
0.5490 0.1525 0.0115 O
0.5556 0.3279 0.5214 O
0.6405 0.5138 0.5751 O
0.6426 0.8598 0.0689 O
0.6549 0.4807 0.8538 O
0.6587 0.8952 0.3457 O
0.6736 0.8736 0.7510 O
0.6910 0.4751 0.2538 O
0.6980 0.4713 0.9635 O
0.7069 0.8399 0.4646 O
0.7954 0.0350 0.8013 O
0.8005 0.1827 0.2979 O
0.8107 0.2003 0.5808 O
0.8121 0.2263 0.1888 O
0.8218 0.9791 0.6926 O
0.8325 0.0195 0.0833 O
0.8399 0.7069 0.9646 O
0.8484 0.4968 0.7427 O
0.8490 0.2050 0.9060 O
0.8560 0.4642 0.4665 O
0.8598 0.6426 0.5689 O
0.8632 0.9797 0.4034 O
0.8670 0.4920 0.3567 O
0.8692 0.5120 0.0720 O
0.8736 0.6736 0.2510 O
0.8952 0.6587 0.8457 O
0.9736 0.2076 0.4056 O
0.9791 0.8218 0.1926 O
0.9797 0.8632 0.9034 O
0.9945 0.2088 0.6766 O
```

[3]
VASP calculation (GGA-PBE) on an optimized crystal structure of Na8Mg2Ga2Si3S3O24.

Geometry as POSCAR:
```
Na8Mg2Ga2Si3S3O24
1.0
8.9976 0.0000 0.0000
4.3585 7.8880 0.0000
1.0787 0.4974 22.1164
Na Mg Ga Si S O
24 6 6 9 9 72
Direct
0.0000 0.0000 0.0000 Na
0.0020 0.2653 0.5034 Na
0.0061 0.6303 0.7613 Na
0.0308 0.3179 0.1755 Na
0.0352 0.9578 0.6693 Na
0.2942 0.3074 0.6799 Na
0.3160 0.6732 0.1592 Na
0.3188 0.9878 0.5883 Na
0.3326 0.3327 0.3323 Na
0.3379 0.6070 0.8494 Na
0.3512 0.9593 0.0839 Na
0.3586 0.6536 0.5046 Na
0.3787 0.2812 0.9959 Na
0.6284 0.6474 0.0061 Na
0.6473 0.0083 0.4947 Na
0.6524 0.3185 0.9238 Na
0.6669 0.9332 0.1687 Na
0.6743 0.6688 0.6828 Na
0.6856 0.2917 0.4175 Na
0.6958 0.9719 0.8462 Na
0.7135 0.6156 0.3279 Na
0.9628 0.9817 0.3420 Na
0.9753 0.3572 0.8363 Na
0.9874 0.6433 0.2534 Na
0.0030 0.6488 0.9025 Mg
0.3389 0.9888 0.7414 Mg
0.3467 0.9790 0.2372 Mg
0.6564 0.3253 0.0654 Mg
0.6898 0.2994 0.5699 Mg
0.9911 0.6553 0.3986 Mg
0.0034 0.6429 0.6023 Ga
0.3119 0.9915 0.4268 Ga
0.3787 0.9546 0.9382 Ga
0.6715 0.3308 0.7784 Ga
0.6960 0.3025 0.2729 Ga
0.9783 0.6560 0.0934 Ga
0.0077 0.9343 0.5013 Si
0.0392 0.2771 0.3346 Si
0.2899 0.6505 0.0016 Si
0.3382 0.2723 0.8341 Si
0.6264 0.9821 0.3351 Si
0.6330 0.6833 0.8338 Si
0.6719 0.6041 0.1677 Si
0.7068 0.9461 0.0019 Si
0.9657 0.3125 0.6665 Si
0.0041 0.3508 0.0042 S
0.0418 0.9805 0.8349 S
0.2972 0.3539 0.5042 S
0.3367 0.6856 0.3374 S
0.3755 0.6023 0.6678 S
0.3784 0.3110 0.1716 S
0.6697 0.0164 0.6682 S
0.7085 0.6443 0.5049 S
0.9638 0.0182 0.1706 S
0.0228 0.8259 0.8400 O
0.0248 0.4634 0.3427 O
0.0327 0.4286 0.0590 O
0.0442 0.8090 0.5643 O
0.1116 0.1578 0.3975 O
0.1168 0.0097 0.8882 O
0.1359 0.0026 0.1752 O
0.1450 0.9593 0.7784 O
0.1544 0.1458 0.6725 O
0.1561 0.1847 0.2762 O
0.1573 0.1803 0.0001 O
0.1665 0.6787 0.0657 O
0.1785 0.4635 0.8412 O
0.1853 0.6621 0.3457 O
0.1882 0.4322 0.5600 O
0.1901 0.9495 0.4968 O
0.2001 0.6191 0.6666 O
0.2065 0.4654 0.1682 O
0.2064 0.6152 0.9451 O
0.2190 0.4554 0.4498 O
0.2977 0.8341 0.9975 O
0.3012 0.1974 0.7749 O
0.3107 0.7927 0.2834 O
0.3162 0.1792 0.5034 O
0.3554 0.1573 0.1755 O
0.3578 0.7754 0.6706 O
0.3664 0.7624 0.3923 O
0.3706 0.1461 0.8949 O
0.4538 0.4964 0.7226 O
0.4572 0.3334 0.2265 O
0.4686 0.3405 0.5094 O
0.4769 0.5215 0.6123 O
0.4812 0.4896 0.0077 O
0.4852 0.2886 0.1173 O
0.4907 0.5139 0.3337 O
0.5007 0.0147 0.3989 O
0.5034 0.7926 0.1746 O
0.5083 0.7617 0.8942 O
0.5134 0.9641 0.0007 O
0.5172 0.9920 0.6727 O
0.5242 0.2771 0.8267 O
0.5389 0.8003 0.5008 O
0.5453 0.7918 0.7730 O
0.5462 0.9439 0.2786 O
0.6356 0.1652 0.3294 O
0.6452 0.1233 0.6129 O
0.6454 0.5141 0.1113 O
0.6518 0.4886 0.8346 O
0.6794 0.4946 0.5114 O
0.6915 0.1325 0.0101 O
0.6961 0.0934 0.7215 O
0.7060 0.4819 0.2310 O
0.7791 0.8253 0.0642 O
0.7879 0.6693 0.5593 O
0.8179 0.6152 0.4508 O
0.8177 0.8225 0.3419 O
0.8211 0.6644 0.8398 O
0.8239 0.8574 0.9431 O
0.8264 0.8437 0.6625 O
0.8356 0.3500 0.7269 O
0.8390 0.1231 0.5068 O
0.8459 0.2945 0.3339 O
0.8517 0.3287 0.0123 O
0.8563 0.0944 0.2275 O
0.8559 0.6166 0.1634 O
0.8674 0.1333 0.8298 O
0.8832 0.1221 0.1172 O
0.8843 0.2862 0.6072 O
0.9782 0.4578 0.9498 O
0.9810 0.4957 0.6613 O
0.9811 0.8430 0.4453 O
0.9808 0.8444 0.1701 O
```

[4]
VASP calculation (GGA-PBE) on an optimized crystal structure of LaV.

Geometry as POSCAR:
```
LaV
1.0
3.7394 0.0000 0.0000
0.0000 3.7394 0.0000
0.0000 0.0000 3.7394
La V
1 1
Direct
0.0000 0.0000 0.0000 La
0.5000 0.5000 0.5000 V
```

[5]
VASP calculation (GGA-PBE) on an optimized crystal structure of K2OsNCl5.

Geometry as POSCAR:
```
K2OsNCl5
1.0
13.4360 0.0000 0.0000
0.0000 9.9597 0.0000
0.0000 0.0000 6.9238
K Os N Cl
8 4 4 20
Direct
0.1454 0.0009 0.1696 K
0.1454 0.4991 0.1696 K
0.3546 0.5009 0.6696 K
0.3546 0.9991 0.6696 K
0.6454 0.0009 0.3304 K
0.6454 0.4991 0.3304 K
0.8546 0.5009 0.8304 K
0.8546 0.9991 0.8304 K
0.0927 0.7500 0.6702 Os
0.4073 0.2500 0.1702 Os
0.5927 0.7500 0.8298 Os
0.9073 0.2500 0.3298 Os
0.0033 0.2500 0.4821 N
0.4967 0.7500 0.9821 N
0.5033 0.2500 0.0179 N
0.9967 0.7500 0.5179 N
0.9997 0.2500 0.0347 Cl
0.0003 0.7500 0.9653 Cl
0.1063 0.5112 0.6913 Cl
0.1063 0.9888 0.6913 Cl
0.2198 0.7500 0.4282 Cl
0.2480 0.7500 0.9035 Cl
0.2520 0.2500 0.4035 Cl
0.2802 0.2500 0.9282 Cl
0.3937 0.0112 0.1913 Cl
0.3937 0.4888 0.1913 Cl
0.4997 0.2500 0.4653 Cl
0.5003 0.7500 0.5347 Cl
0.6063 0.5112 0.8087 Cl
0.6063 0.9888 0.8087 Cl
0.7198 0.7500 0.0718 Cl
0.7480 0.7500 0.5965 Cl
0.7520 0.2500 0.0965 Cl
0.7802 0.2500 0.5718 Cl
0.8937 0.0112 0.3087 Cl
0.8937 0.4888 0.3087 Cl
```

[6]
VASP calculation (GGA-PBE) on an optimized crystal structure of CoNiTe4.

Geometry as POSCAR:
```
CoNiTe4
1.0
6.3585 0.0000 0.0000
0.0000 6.3528 0.0000
-0.0933 0.0000 6.3474
Co Ni Te
2 2 8
Direct
0.0000 0.0000 0.0000 Co
0.0000 0.5000 0.5000 Co
0.5000 0.0000 0.5000 Ni
0.5000 0.5000 0.0000 Ni
0.1299 0.1373 0.6387 Te
0.1299 0.3627 0.1387 Te
0.3605 0.6328 0.6316 Te
0.3605 0.8672 0.1316 Te
0.6395 0.1328 0.8684 Te
0.6395 0.3672 0.3684 Te
0.8701 0.6373 0.8613 Te
0.8701 0.8627 0.3613 Te
```

[7]
VASP calculation (GGA-PBE) on an optimized crystal structure of NaTiVS4.

Geometry as POSCAR:
```
NaTiVS4
1.0
7.0908 -1.7149 0.0000
7.0908 1.7149 0.0000
-0.8244 0.0000 5.8484
Na Ti V S
1 1 1 4
Direct
0.0000 0.0000 0.0000 Na
0.2498 0.2498 0.4195 Ti
0.7497 0.7497 0.9035 V
0.1481 0.1481 0.7129 S
0.3488 0.3488 0.1070 S
0.6495 0.6495 0.2084 S
0.8517 0.8517 0.6107 S
```

[8]
VASP calculation (GGA-PBE) on an optimized crystal structure of DyCoSi.

Geometry as POSCAR:
```
DyCoSi
1.0
6.9427 0.0000 0.0000
0.0000 4.1965 0.0000
0.0000 0.0000 6.8378
Dy Co Si
4 4 4
Direct
0.0201 0.2500 0.1861 Dy
0.4799 0.7500 0.6861 Dy
0.5201 0.2500 0.3139 Dy
0.9799 0.7500 0.8139 Dy
0.1430 0.7500 0.4339 Co
0.3570 0.2500 0.9339 Co
0.6430 0.7500 0.0661 Co
0.8570 0.2500 0.5661 Co
0.1937 0.2500 0.6075 Si
0.3063 0.7500 0.1075 Si
0.6937 0.2500 0.8925 Si
0.8063 0.7500 0.3925 Si
```

We obtain energy relative to the elements values of -2295; -2375; -2423; 550; -1335; -459; -1456; -700 meV per atom for the records listed above, in that order.
We obtain energy values of -5.984; -6.409; -6.014; -6.460; -4.441; -4.422; -6.147; -6.437 eV/atom for the records listed above, in that order.